1.
The following is a DFT calculation (r²SCAN) of a relaxed structure of Y2Co7.

Geometry as POSCAR:
```
Y2Co7
1.0
-3.773 1.487 2.858
-4.534 -1.711 -1.052
-1.051 -9.341 7.851
Y Co
4 14
Cartesian
-1.318 -7.897 6.722
-8.039 -1.667 2.935
-1.834 -5.192 4.608
-7.523 -4.373 5.049
-4.678 -4.782 4.829
-2.455 -1.619 1.805
-6.902 -7.946 7.852
-4.066 -7.938 7.292
-5.291 -1.627 2.365
-4.153 -0.112 0.903
-1.886 0.743 1.429
-2.267 -0.855 -0.526
-3.900 -7.168 4.982
-5.728 -6.439 6.390
-3.525 -5.590 6.911
-5.456 -2.397 4.675
-3.629 -3.126 3.268
-5.832 -3.975 2.746
```

Summary:
Magnetization   10.05 μB/f.u.
Raw total energy   -14.905 eV/atom
Energy relative to the elements   -0.10 eV per atom

***

2.
The following is a DFT calculation (r²SCAN) of a relaxed structure of YCo.

Geometry as POSCAR:
```
YCo
1.0
-0.795 0.721 3.694
-4.001 0.443 -0.947
1.240 -5.314 1.304
Y Co
2 2
Cartesian
-2.742 -3.236 1.043
-0.813 -0.913 3.007
-2.280 -0.140 0.538
-1.276 -4.010 3.512
```

Summary:
Magnetization   0.56 μB/f.u.
Raw total energy   -16.854 eV/atom
Energy relative to the elements   -0.08 eV per atom

***

3.
The following is a DFT calculation (r²SCAN) of a relaxed structure of YCo.

Geometry as POSCAR:
```
YCo
1.0
-3.685 0.006 1.201
1.400 3.031 -1.968
-3.668 -4.020 -4.990
Y Co
2 2
Cartesian
-4.220 -0.810 -0.434
-1.733 -0.174 -5.323
-0.317 1.989 -0.978
-5.636 -2.973 -4.779
```

Summary:
Magnetization   1.20 μB/f.u.
Raw total energy   -16.886 eV/atom
Energy relative to the elements   -0.11 eV per atom

***

4.
The following is a DFT calculation (r²SCAN) of a relaxed structure of YCo3.

Geometry as POSCAR:
```
YCo3
1.0
-2.669 3.654 -2.154
-1.974 -2.664 3.758
5.909 10.555 10.586
Y Co
6 18
Cartesian
3.481 9.602 11.977
-2.216 1.944 0.214
0.295 6.430 4.713
0.970 5.116 7.478
2.226 7.359 9.727
-0.960 4.187 2.463
0.106 2.290 6.721
1.111 3.645 4.809
-1.252 4.149 5.625
1.159 9.256 5.470
0.155 7.900 7.382
2.518 7.396 6.566
2.593 11.817 8.038
1.588 10.461 9.950
3.951 9.957 9.134
-1.327 -0.271 4.152
-0.323 1.085 2.240
-2.686 1.588 3.057
-0.729 2.081 4.434
1.994 9.465 7.757
-0.497 -0.025 6.404
4.431 7.916 7.940
2.954 5.278 5.293
0.000 0.000 0.000
```

Summary:
Magnetization   4.06 μB/f.u.
Raw total energy   -15.091 eV/atom
Energy relative to the elements   -0.09 eV per atom

***

The lowest raw total energy belongs to which entry?
number 3

***

What did the fourth record say?
The following is a DFT calculation (r²SCAN) of a relaxed structure of YCo3.

Geometry as POSCAR:
```
YCo3
1.0
-2.669 3.654 -2.154
-1.974 -2.664 3.758
5.909 10.555 10.586
Y Co
6 18
Cartesian
3.481 9.602 11.977
-2.216 1.944 0.214
0.295 6.430 4.713
0.970 5.116 7.478
2.226 7.359 9.727
-0.960 4.187 2.463
0.106 2.290 6.721
1.111 3.645 4.809
-1.252 4.149 5.625
1.159 9.256 5.470
0.155 7.900 7.382
2.518 7.396 6.566
2.593 11.817 8.038
1.588 10.461 9.950
3.951 9.957 9.134
-1.327 -0.271 4.152
-0.323 1.085 2.240
-2.686 1.588 3.057
-0.729 2.081 4.434
1.994 9.465 7.757
-0.497 -0.025 6.404
4.431 7.916 7.940
2.954 5.278 5.293
0.000 0.000 0.000
```

Summary:
Magnetization   4.06 μB/f.u.
Raw total energy   -15.091 eV/atom
Energy relative to the elements   -0.09 eV per atom

***

Among the records above, which one has the highest magnetization?
Y2Co7

***

Look up the energy relative to the elements of the first one.
-0.10 eV per atom